1.
# MgCu6OF11, relaxed, DFT GGA-PBE
# Space group   P1 (1)
# Crystal system   triclinic
# Raw total energy   -81.642 eV for the cell shown
data_MgCu6OF11
_chemical_formula_sum 'Mg1 Cu6 O1 F11'
_symmetry_space_group_name_H-M 'P 1'
_symmetry_Int_Tables_number 1
_cell_length_a 5.458
_cell_length_b 4.598
_cell_length_c 9.240
_cell_angle_alpha 88.75
_cell_angle_beta 89.51
_cell_angle_gamma 92.65
loop_
_symmetry_equiv_pos_as_xyz
'x,y,z'
loop_
_atom_site_label
_atom_site_type_symbol
_atom_site_fract_x
_atom_site_fract_y
_atom_site_fract_z
F1 F 0.802 0.326 0.097
F2 F 0.097 0.786 0.235
F3 F 0.915 0.223 0.756
F4 F 0.310 0.239 0.067
F5 F 0.153 0.726 0.933
F6 F 0.096 0.293 0.407
F7 F 0.597 0.260 0.445
F8 F 0.367 0.795 0.581
F9 F 0.429 0.294 0.740
F10 F 0.876 0.716 0.587
F11 F 0.641 0.800 0.955
Mg1 Mg 0.371 0.667 0.100
Cu1 Cu 0.623 0.339 0.914
Cu2 Cu 0.816 0.538 0.342
Cu3 Cu 0.345 0.012 0.353
Cu4 Cu 0.146 0.504 0.664
Cu5 Cu 0.972 0.017 0.019
Cu6 Cu 0.656 0.008 0.646
O1 O 0.578 0.777 0.268

---

2.
# MgCu6OF11, relaxed, DFT GGA-PBE
# Space group   P1 (1)
# Crystal system   triclinic
# Raw total energy   -82.902 eV for the cell shown
data_MgCu6OF11
_chemical_formula_sum 'Mg1 Cu6 O1 F11'
_symmetry_space_group_name_H-M 'P 1'
_symmetry_Int_Tables_number 1
_cell_length_a 5.609
_cell_length_b 4.872
_cell_length_c 8.339
_cell_angle_alpha 94.22
_cell_angle_beta 89.62
_cell_angle_gamma 83.77
loop_
_symmetry_equiv_pos_as_xyz
'x,y,z'
loop_
_atom_site_label
_atom_site_type_symbol
_atom_site_fract_x
_atom_site_fract_y
_atom_site_fract_z
F1 F 0.946 0.254 0.727
F2 F 0.358 0.244 0.089
F3 F 0.384 0.815 0.593
F4 F 0.135 0.775 0.921
F5 F 0.118 0.781 0.250
F6 F 0.883 0.272 0.061
F7 F 0.646 0.825 0.898
F8 F 0.126 0.277 0.410
F9 F 0.882 0.736 0.552
F10 F 0.616 0.212 0.420
F11 F 0.411 0.321 0.779
Cu1 Cu 0.507 0.547 0.017
Cu2 Cu 0.866 0.834 0.091
Cu3 Cu 0.169 0.537 0.636
Cu4 Cu 0.376 0.991 0.324
Cu5 Cu 0.835 0.479 0.331
Cu6 Cu 0.662 0.027 0.662
Mg1 Mg 0.150 0.170 0.908
O1 O 0.616 0.723 0.220

---

3.
# MgCu2O4F2, relaxed, DFT GGA-PBE
# Space group   Cm (8)
# Crystal system   monoclinic
# Raw total energy   -42.875 eV for the cell shown
data_MgCu2O4F2
_chemical_formula_sum 'Mg1 Cu2 O4 F2'
_symmetry_space_group_name_H-M 'P 1'
_symmetry_Int_Tables_number 1
_cell_length_a 3.341
_cell_length_b 5.173
_cell_length_c 6.614
_cell_angle_alpha 113.13
_cell_angle_beta 104.63
_cell_angle_gamma 90.00
loop_
_symmetry_equiv_pos_as_xyz
'x,y,z'
loop_
_atom_site_label
_atom_site_type_symbol
_atom_site_fract_x
_atom_site_fract_y
_atom_site_fract_z
O1 O 0.066 0.379 0.132
O2 O 0.563 0.840 0.127
O3 O 0.934 0.248 0.868
O4 O 0.437 0.713 0.873
Cu1 Cu 0.848 0.483 0.695
Cu2 Cu 0.153 0.789 0.305
Mg1 Mg 0.500 0.149 0.000
F1 F 0.251 0.194 0.501
F2 F 0.750 0.693 0.499

---

4.
# MgCu6OF11, relaxed, DFT GGA-PBE
# Space group   P1 (1)
# Crystal system   triclinic
# Raw total energy   -82.775 eV for the cell shown
data_MgCu6OF11
_chemical_formula_sum 'Mg1 Cu6 O1 F11'
_symmetry_space_group_name_H-M 'P 1'
_symmetry_Int_Tables_number 1
_cell_length_a 5.619
_cell_length_b 5.023
_cell_length_c 8.155
_cell_angle_alpha 91.06
_cell_angle_beta 93.52
_cell_angle_gamma 90.56
loop_
_symmetry_equiv_pos_as_xyz
'x,y,z'
loop_
_atom_site_label
_atom_site_type_symbol
_atom_site_fract_x
_atom_site_fract_y
_atom_site_fract_z
F1 F 0.297 0.161 0.084
F2 F 0.709 0.856 0.885
F3 F 0.170 0.283 0.392
F4 F 0.908 0.657 0.586
F5 F 0.992 0.787 0.265
F6 F 0.003 0.188 0.735
F7 F 0.183 0.665 0.959
F8 F 0.843 0.320 0.074
F9 F 0.644 0.188 0.452
F10 F 0.397 0.790 0.585
F11 F 0.488 0.359 0.783
Cu1 Cu 0.200 0.488 0.665
Cu2 Cu 0.713 0.573 0.391
Cu3 Cu 0.683 0.022 0.667
Cu4 Cu 0.541 0.539 0.006
Cu5 Cu 0.007 0.000 0.982
Cu6 Cu 0.345 0.959 0.329
O1 O 0.483 0.652 0.228
Mg1 Mg 0.144 0.473 0.184

---

For the records above, the corresponding calculated volume values read 231.6, 225.9, 101.1, 229.7 Å³ per cell.
For the records above, the corresponding formation enthalpy at 0 K values read -1.853, -1.919, -1.225, -1.913 eV per atom.
For the records above, the corresponding energy relative to the lowest polymorph listed for this composition values read 0.088, 0.021, 0.050, 0.028 eV/atom.